Here is crystalline Ba2PrMgCu4O8 at its relaxed geometry from Materials Project. Energies are from PBE.

Lattice parameters (Å, degrees): 3.8811 4.0601 15.6263 104.48 90.00 90.00
With the nearest neighbours (Å) after each atom.
Atoms (fractional coordinates):
1 Ba 0.5000 0.5088 0.6604  7 O 2.63-2.86
2 Ba 0.5000 0.6551 0.2822  8 O 2.81-2.96
3 Pr 0.5000 0.4167 0.0342  6 O 2.36-2.47
4 Mg 0.0000 0.0956 0.8042  4 O 1.97-2.14
5 Cu 0.0000 0.8212 0.9281  2 O 1.93-2.14
6 Cu 0.0000 0.0230 0.1427  4 O 1.99-2.03
7 Cu 0.0000 0.9096 0.5468  4 O 1.88-2.04
8 Cu 0.0000 0.2805 0.4129  4 O 1.85-2.04
9 O 0.0000 0.4021 0.5374  3 Cu 1.88-2.04
10 O 0.0000 0.7894 0.4222  3 Cu 1.88-2.04
11 O 0.0000 0.3522 0.9339  2 Cu 1.93-2.14, 1 Mg 2.03
12 O 0.0000 0.5147 0.1342  2 Cu 2.03
13 O 0.5000 0.9022 0.8221  2 Mg 2.14
14 O 0.5000 0.9943 0.1138  2 Cu 1.99
15 O 0.0000 0.0386 0.6750  1 Cu 1.94, 1 Mg 1.97
16 O 0.0000 0.1627 0.2905  1 Cu 1.85

Computed properties:
* DFT total energy: -5.77 eV per atom
* energy relative to the elements: -1.98 eV per atom
* ΔE to the lowest computed polymorph: 0 meV per atom